{
  "formula": "Li6VFe5O12",
  "functional": "GGA+U",
  "state": "relaxed",
  "cell": [[0.278, -3.310, 3.853], [3.598, -3.586, 0.015], [5.246, 6.245, 5.953]],
  "species": ["O", "O", "Li", "O", "Li", "O", "Li", "Fe", "O", "O", "O", "O", "Fe", "Li", "V", "Fe", "O", "Fe", "O", "O", "Fe", "Li", "Li", "O"],
  "fractional_positions": [[0.639, 0.028, 0.113], [0.694, 0.307, 0.884], [0.948, 0.717, 0.248], [0.854, 0.134, 0.393], [0.717, 0.945, 0.752], [0.135, 0.855, 0.607], [0.290, 0.045, 0.242], [0.336, 0.336, 0.000], [0.028, 0.640, 0.887], [0.972, 0.360, 0.114], [0.794, 0.542, 0.611], [0.471, 0.204, 0.611], [0.666, 0.664, 0.000], [0.049, 0.288, 0.757], [0.000, 0.001, 0.000], [0.167, 0.171, 0.500], [0.307, 0.694, 0.116], [0.499, 0.499, 0.500], [0.359, 0.973, 0.887], [0.202, 0.471, 0.389], [0.833, 0.833, 0.500], [0.392, 0.609, 0.750], [0.605, 0.393, 0.251], [0.542, 0.791, 0.390]],
  "polymorph_energy_kj_per_mol_fu": 0.0,
  "energy_mp2020_ev_per_cell": -169.5,
  "formation_enthalpy_0k_kj_per_mol_atoms": -190.1,
  "energy_ry_per_atom": -0.45420
}


{
  "formula": "Li9Mn2Co5O16",
  "functional": "GGA+U",
  "state": "relaxed",
  "cell": [[5.071, 0.000, 0.000], [-1.680, 4.853, 0.000], [-0.221, -0.190, 11.693]],
  "species": ["O", "Mn", "O", "Co", "Mn", "Li", "Li", "O", "Li", "Li", "O", "Li", "Li", "O", "O", "O", "O", "O", "Li", "O", "Li", "Co", "Co", "O", "Li", "Co", "O", "O", "Co", "O", "O", "O"],
  "fractional_positions": [[0.220, 0.213, 0.875], [0.503, 0.004, 0.625], [0.268, 0.776, 0.507], [0.497, 0.996, 0.885], [0.994, 0.990, 0.002], [0.503, 0.496, 0.247], [0.005, 0.504, 0.124], [0.233, 0.768, 0.994], [0.497, 0.503, 0.008], [0.502, 0.003, 0.125], [0.750, 0.219, 0.992], [0.006, 0.502, 0.624], [0.501, 0.499, 0.752], [0.753, 0.783, 0.632], [0.745, 0.225, 0.747], [0.768, 0.769, 0.380], [0.750, 0.759, 0.880], [0.264, 0.785, 0.745], [0.989, 0.494, 0.879], [0.253, 0.241, 0.376], [0.500, 0.500, 0.495], [0.493, 0.997, 0.365], [0.998, 0.015, 0.245], [0.762, 0.235, 0.255], [0.004, 0.503, 0.371], [0.000, 0.002, 0.494], [0.776, 0.767, 0.119], [0.737, 0.224, 0.508], [0.994, 0.998, 0.752], [0.258, 0.226, 0.623], [0.225, 0.231, 0.116], [0.254, 0.773, 0.257]],
  "polymorph_energy_kj_per_mol_fu": 136.4,
  "energy_mp2020_ev_per_cell": -208.5,
  "formation_enthalpy_0k_kj_per_mol_atoms": -175.6,
  "energy_ry_per_atom": -0.42706
}


{
  "formula": "Li2VC2O6",
  "functional": "GGA+U",
  "state": "relaxed",
  "cell": [[0.000, 4.904, 0.000], [3.377, 0.000, -12.596], [-8.399, 0.000, -0.628]],
  "species": ["C", "Li", "V", "Li", "Li", "V", "O", "V", "O", "Li", "C", "C", "O", "O", "O", "O", "O", "V", "O", "O", "C", "O", "O", "O", "O", "O", "Li", "Li", "O", "O", "C", "O", "O", "C", "C", "O", "O", "C", "Li", "O", "O", "Li", "O", "O"],
  "fractional_positions": [[0.526, 0.397, 0.172], [0.032, 0.959, 0.060], [0.505, 0.105, 0.596], [0.532, 0.040, 0.940], [0.964, 0.774, 0.655], [0.005, 0.395, 0.404], [0.378, 0.351, 0.266], [0.505, 0.604, 0.595], [0.414, 0.946, 0.071], [0.032, 0.460, 0.060], [0.468, 0.870, 0.604], [0.026, 0.603, 0.827], [0.132, 0.058, 0.427], [0.290, 0.109, 0.819], [0.066, 0.723, 0.400], [0.633, 0.943, 0.574], [0.790, 0.891, 0.181], [0.005, 0.896, 0.405], [0.878, 0.649, 0.733], [0.713, 0.610, 0.366], [0.968, 0.130, 0.396], [0.378, 0.851, 0.267], [0.790, 0.391, 0.181], [0.566, 0.277, 0.600], [0.566, 0.777, 0.600], [0.878, 0.149, 0.734], [0.464, 0.726, 0.345], [0.532, 0.541, 0.940], [0.713, 0.110, 0.367], [0.213, 0.890, 0.634], [0.968, 0.630, 0.396], [0.632, 0.442, 0.573], [0.133, 0.557, 0.426], [0.026, 0.103, 0.828], [0.526, 0.897, 0.173], [0.914, 0.554, 0.929], [0.212, 0.390, 0.633], [0.468, 0.370, 0.604], [0.464, 0.225, 0.344], [0.066, 0.223, 0.400], [0.414, 0.446, 0.070], [0.964, 0.275, 0.656], [0.914, 0.054, 0.930], [0.290, 0.609, 0.819]],
  "polymorph_energy_kj_per_mol_fu": 42.0,
  "energy_mp2020_ev_per_cell": -336.2,
  "formation_enthalpy_0k_kj_per_mol_atoms": -201.8,
  "energy_ry_per_atom": -0.52274
}


{
  "formula": "Li9Mn2Co5O16",
  "functional": "GGA+U",
  "state": "relaxed",
  "cell": [[-4.619, -3.652, 0.495], [1.506, -4.825, -3.985], [2.014, -4.910, 5.813]],
  "species": ["Co", "Li", "Li", "Li", "Li", "O", "Co", "O", "O", "Mn", "O", "O", "Li", "O", "O", "O", "O", "Co", "Li", "O", "O", "O", "Co", "Li", "Li", "O", "Li", "O", "O", "O", "Mn", "Co"],
  "fractional_positions": [[0.505, 0.000, 0.007], [0.447, 0.886, 0.374], [0.068, 0.125, 0.620], [0.552, 0.128, 0.615], [0.687, 0.375, 0.884], [0.018, 0.548, 0.315], [0.122, 0.250, 0.250], [0.955, 0.461, 0.665], [0.911, 0.294, 0.055], [0.997, 0.002, 0.003], [0.391, 0.289, 0.069], [0.856, 0.207, 0.434], [0.625, 0.248, 0.251], [0.275, 0.043, 0.816], [0.336, 0.209, 0.439], [0.534, 0.558, 0.340], [0.110, 0.701, 0.929], [0.250, 0.497, 0.496], [0.313, 0.617, 0.125], [0.736, 0.938, 0.176], [0.606, 0.710, 0.931], [0.483, 0.453, 0.686], [0.376, 0.750, 0.749], [0.929, 0.882, 0.372], [0.191, 0.373, 0.880], [0.795, 0.043, 0.834], [0.812, 0.617, 0.127], [0.208, 0.954, 0.169], [0.144, 0.790, 0.570], [0.647, 0.800, 0.570], [0.746, 0.502, 0.497], [0.876, 0.750, 0.750]],
  "polymorph_energy_kj_per_mol_fu": 78.7,
  "energy_mp2020_ev_per_cell": -209.1,
  "formation_enthalpy_0k_kj_per_mol_atoms": -177.4,
  "energy_ry_per_atom": -0.42843
}


{
  "formula": "MgMn2As2Pb2O18",
  "functional": "GGA+U",
  "state": "relaxed",
  "cell": [[-3.434, 3.588, 1.226], [-3.628, -3.282, -2.078], [1.772, -5.610, 11.494]],
  "species": ["Mn", "O", "O", "O", "O", "O", "O", "Mn", "Mg", "O", "O", "O", "As", "O", "Pb", "O", "Pb", "As", "O", "O", "O", "O", "O", "O", "O"],
  "fractional_positions": [[0.470, 0.225, 0.452], [0.171, 0.723, 0.131], [0.713, 0.470, 0.563], [0.697, 0.827, 0.218], [0.287, 0.530, 0.437], [0.416, 0.719, 0.950], [0.984, 0.701, 0.794], [0.530, 0.775, 0.548], [0.000, 0.500, 0.000], [0.371, 0.094, 0.568], [0.346, 0.685, 0.661], [0.584, 0.281, 0.050], [0.128, 0.886, 0.720], [0.336, 0.240, 0.031], [0.662, 0.348, 0.721], [0.829, 0.277, 0.869], [0.338, 0.652, 0.279], [0.872, 0.114, 0.280], [0.654, 0.315, 0.339], [0.016, 0.299, 0.206], [0.849, 0.986, 0.639], [0.629, 0.906, 0.432], [0.303, 0.173, 0.782], [0.664, 0.760, 0.969], [0.151, 0.014, 0.361]],
  "energy_mp2020_ev_per_cell": -150.9,
  "formation_enthalpy_0k_kj_per_mol_atoms": -97.0,
  "energy_ry_per_atom": -0.42524
}


{
  "formula": "Ba2YMoO6",
  "functional": "GGA+U",
  "state": "relaxed",
  "cell": [[0.000, 4.256, 4.256], [4.256, 0.000, 4.256], [4.256, 4.256, 0.000]],
  "species": ["O", "O", "Mo", "O", "Ba", "O", "Ba", "O", "O", "Y"],
  "fractional_positions": [[0.764, 0.236, 0.236], [0.236, 0.764, 0.236], [0.000, 0.000, 0.000], [0.236, 0.764, 0.764], [0.750, 0.750, 0.750], [0.764, 0.236, 0.764], [0.250, 0.250, 0.250], [0.236, 0.236, 0.764], [0.764, 0.764, 0.236], [0.500, 0.500, 0.500]],
  "energy_mp2020_ev_per_cell": -81.1,
  "formation_enthalpy_0k_kj_per_mol_atoms": -292.0,
  "energy_ry_per_atom": -0.54222
}


{
  "formula": "Na6V2AsC4O16",
  "functional": "GGA+U",
  "state": "relaxed",
  "cell": [[0.000, 7.104, 7.104], [7.104, 0.000, 7.104], [7.104, 7.104, 0.000]],
  "species": ["Na", "O", "C", "O", "Na", "O", "O", "O", "O", "C", "O", "O", "O", "O", "V", "O", "O", "Na", "Na", "V", "Na", "O", "C", "C", "O", "Na", "Na", "O", "C", "O", "O", "C", "O", "Na", "O", "O", "O", "O", "As", "O", "O", "O", "O", "O", "O", "O", "O", "Na", "C", "O", "O", "Na", "V", "As", "V", "Na", "C", "Na"],
  "fractional_positions": [[0.959, 0.959, 0.541], [0.314, 0.980, 0.226], [0.911, 0.268, 0.911], [0.680, 0.680, 0.680], [0.959, 0.541, 0.959], [0.936, 0.270, 0.024], [0.226, 0.980, 0.480], [0.270, 0.936, 0.770], [0.314, 0.226, 0.480], [0.982, 0.339, 0.339], [0.770, 0.936, 0.024], [0.570, 0.570, 0.290], [0.936, 0.024, 0.770], [0.226, 0.314, 0.980], [0.125, 0.125, 0.625], [0.024, 0.770, 0.936], [0.980, 0.226, 0.314], [0.291, 0.709, 0.709], [0.959, 0.541, 0.541], [0.125, 0.125, 0.125], [0.541, 0.959, 0.541], [0.290, 0.570, 0.570], [0.911, 0.911, 0.268], [0.911, 0.911, 0.911], [0.480, 0.980, 0.314], [0.291, 0.291, 0.709], [0.541, 0.959, 0.959], [0.480, 0.314, 0.226], [0.339, 0.339, 0.339], [0.314, 0.480, 0.980], [0.980, 0.314, 0.480], [0.339, 0.982, 0.339], [0.680, 0.960, 0.680], [0.709, 0.291, 0.291], [0.570, 0.290, 0.570], [0.770, 0.024, 0.270], [0.270, 0.770, 0.024], [0.980, 0.480, 0.226], [0.750, 0.750, 0.750], [0.480, 0.226, 0.980], [0.936, 0.770, 0.270], [0.770, 0.270, 0.936], [0.570, 0.570, 0.570], [0.226, 0.480, 0.314], [0.270, 0.024, 0.936], [0.024, 0.270, 0.770], [0.960, 0.680, 0.680], [0.291, 0.709, 0.291], [0.339, 0.339, 0.982], [0.680, 0.680, 0.960], [0.024, 0.936, 0.270], [0.709, 0.291, 0.709], [0.625, 0.125, 0.125], [0.500, 0.500, 0.500], [0.125, 0.625, 0.125], [0.709, 0.709, 0.291], [0.268, 0.911, 0.911], [0.541, 0.541, 0.959]],
  "energy_mp2020_ev_per_cell": -412.5,
  "formation_enthalpy_0k_kj_per_mol_atoms": -197.6,
  "energy_ry_per_atom": -0.48621
}


{
  "formula": "Na2CoSiO4",
  "functional": "GGA+U",
  "state": "relaxed",
  "cell": [[0.000, 0.000, -5.382], [0.000, -12.258, 0.000], [-6.301, 0.000, 0.000]],
  "species": ["O", "Co", "Si", "Na", "O", "Na", "Na", "O", "Si", "O", "Si", "O", "O", "Co", "O", "O", "Na", "Co", "O", "O", "O", "O", "O", "O", "Si", "Na", "O", "Na", "Na", "Na", "Co", "O"],
  "fractional_positions": [[0.312, 0.813, 0.000], [0.506, 0.178, 0.000], [0.508, 0.171, 0.500], [0.498, 0.416, 0.748], [0.870, 0.208, 0.000], [0.998, 0.584, 0.752], [0.498, 0.916, 0.748], [0.931, 0.899, 0.218], [0.008, 0.329, 0.000], [0.370, 0.792, 0.500], [0.008, 0.829, 0.000], [0.812, 0.687, 0.500], [0.870, 0.708, 0.000], [0.006, 0.322, 0.500], [0.931, 0.399, 0.782], [0.431, 0.101, 0.282], [0.998, 0.084, 0.752], [0.506, 0.678, 0.000], [0.931, 0.399, 0.218], [0.312, 0.314, 0.000], [0.431, 0.101, 0.718], [0.931, 0.899, 0.782], [0.431, 0.601, 0.718], [0.431, 0.601, 0.282], [0.508, 0.671, 0.500], [0.998, 0.584, 0.248], [0.370, 0.292, 0.500], [0.998, 0.084, 0.248], [0.498, 0.416, 0.252], [0.498, 0.916, 0.252], [0.006, 0.822, 0.500], [0.812, 0.186, 0.500]],
  "energy_mp2020_ev_per_cell": -214.3,
  "formation_enthalpy_0k_kj_per_mol_atoms": -224.2,
  "energy_ry_per_atom": -0.45180
}


{
  "formula": "V17Fe7Pb4O44",
  "functional": "GGA+U",
  "state": "relaxed",
  "cell": [[5.921, 0.000, 0.000], [-0.032, 10.228, 0.000], [-2.900, -5.037, 13.706]],
  "species": ["O", "Fe", "O", "V", "O", "O", "O", "O", "O", "V", "V", "O", "O", "O", "O", "O", "Fe", "O", "O", "Pb", "O", "Fe", "Fe", "V", "V", "V", "V", "V", "Pb", "O", "O", "O", "O", "O", "O", "O", "O", "O", "O", "V", "O", "Pb", "O", "V", "Pb", "V", "V", "Fe", "Fe", "O", "O", "O", "V", "O", "O", "O", "Fe", "O", "O", "O", "O", "V", "V", "V", "O", "O", "O", "O", "O", "O", "V", "O"],
  "fractional_positions": [[0.350, 0.050, 0.249], [0.176, 0.179, 0.356], [0.850, 0.549, 0.250], [0.998, 0.505, 0.003], [0.203, 0.034, 0.420], [0.290, 0.456, 0.574], [0.372, 0.224, 0.748], [0.104, 0.956, 0.760], [0.801, 0.615, 0.075], [0.321, 0.326, 0.649], [0.503, 0.002, 0.500], [0.221, 0.543, 0.419], [0.192, 0.370, 0.922], [0.221, 0.873, 0.917], [0.724, 0.050, 0.422], [0.624, 0.774, 0.249], [0.425, 0.427, 0.853], [0.553, 0.208, 0.575], [0.936, 0.293, 0.419], [0.637, 0.305, 0.277], [0.149, 0.451, 0.751], [0.614, 0.948, 0.230], [0.864, 0.531, 0.731], [0.252, 0.247, 0.001], [0.244, 0.752, 0.001], [0.497, 0.504, 0.502], [0.244, 0.742, 0.500], [0.994, 0.001, 0.503], [0.139, 0.806, 0.278], [0.710, 0.532, 0.419], [0.052, 0.865, 0.074], [0.537, 0.874, 0.080], [0.711, 0.878, 0.917], [0.974, 0.621, 0.921], [0.126, 0.277, 0.252], [0.646, 0.954, 0.754], [0.879, 0.724, 0.755], [0.784, 0.457, 0.583], [0.038, 0.372, 0.080], [0.499, 0.005, 0.998], [0.900, 0.048, 0.247], [0.381, 0.715, 0.773], [0.459, 0.138, 0.920], [0.757, 0.748, 0.999], [0.884, 0.222, 0.775], [0.921, 0.922, 0.844], [0.572, 0.571, 0.148], [0.821, 0.822, 0.646], [0.363, 0.032, 0.730], [0.443, 0.797, 0.423], [0.279, 0.621, 0.072], [0.535, 0.364, 0.074], [0.077, 0.077, 0.151], [0.472, 0.301, 0.420], [0.032, 0.203, 0.575], [0.787, 0.131, 0.077], [0.116, 0.450, 0.234], [0.975, 0.799, 0.421], [0.722, 0.368, 0.920], [0.397, 0.550, 0.249], [0.802, 0.967, 0.577], [0.745, 0.246, 0.001], [0.750, 0.249, 0.503], [0.003, 0.500, 0.500], [0.527, 0.691, 0.574], [0.285, 0.954, 0.583], [0.598, 0.449, 0.751], [0.063, 0.706, 0.577], [0.456, 0.638, 0.919], [0.958, 0.132, 0.919], [0.675, 0.675, 0.352], [0.288, 0.131, 0.076]],
  "energy_mp2020_ev_per_cell": -603.3,
  "formation_enthalpy_0k_kj_per_mol_atoms": -210.5,
  "energy_ry_per_atom": -0.53941
}


{
  "formula": "Fe2C2O7",
  "functional": "GGA+U",
  "state": "relaxed",
  "cell": [[0.110, -4.763, 1.355], [-2.556, 3.282, 2.703], [-13.023, -2.661, -8.929]],
  "species": ["Fe", "O", "O", "C", "O", "C", "O", "C", "O", "O", "O", "O", "O", "O", "Fe", "Fe", "O", "Fe", "C", "O", "O", "O"],
  "fractional_positions": [[0.664, 0.329, 0.864], [0.587, 0.931, 0.594], [0.588, 0.654, 0.902], [0.668, 0.335, 0.404], [0.656, 0.069, 0.094], [0.332, 0.665, 0.596], [0.336, 0.675, 0.250], [0.333, 0.665, 0.904], [0.412, 0.346, 0.098], [0.413, 0.069, 0.406], [0.344, 0.931, 0.906], [0.067, 0.411, 0.905], [0.664, 0.325, 0.750], [0.934, 0.346, 0.403], [0.334, 0.671, 0.364], [0.666, 0.329, 0.636], [0.066, 0.654, 0.597], [0.336, 0.671, 0.136], [0.667, 0.335, 0.096], [0.656, 0.589, 0.404], [0.344, 0.411, 0.596], [0.933, 0.589, 0.095]],
  "polymorph_energy_kj_per_mol_fu": 22.6,
  "energy_mp2020_ev_per_cell": -176.4,
  "formation_enthalpy_0k_kj_per_mol_atoms": -159.5,
  "energy_ry_per_atom": -0.52716
}


{
  "formula": "CaMo2O4",
  "functional": "GGA+U",
  "state": "relaxed",
  "cell": [[-3.188, 3.332, 4.589], [3.188, -3.332, 4.589], [3.188, 3.332, -4.589]],
  "species": ["O", "Mo", "O", "Ca", "Ca", "O", "Mo", "O", "Mo", "Mo", "O", "O", "O", "O"],
  "fractional_positions": [[0.217, 0.244, 0.973], [0.000, 0.500, 0.000], [0.236, 0.739, 0.003], [0.500, 0.500, 0.000], [0.000, 0.500, 0.500], [0.229, 0.756, 0.473], [0.000, 0.000, 0.500], [0.764, 0.261, 0.997], [0.390, 0.140, 0.250], [0.610, 0.860, 0.750], [0.236, 0.233, 0.497], [0.771, 0.244, 0.527], [0.783, 0.756, 0.027], [0.764, 0.767, 0.503]],
  "polymorph_energy_kj_per_mol_fu": 186.8,
  "energy_mp2020_ev_per_cell": -115.3,
  "formation_enthalpy_0k_kj_per_mol_atoms": -194.9,
  "energy_ry_per_atom": -0.50898
}